[1]
A geometry-optimized TbCrTeO6 structure. Source: the Materials Project database, functional PBE+U.

abc: 5.4376 5.4376 8.5760
angles: 90.00 90.00 120.00
Sites, in units of the cell vectors:
Tb (0.3333, 0.6667, 0.2500)
Tb (0.6667, 0.3333, 0.7500)
Cr (0.0000, 0.0000, 0.0000)
Cr (0.0000, 0.0000, 0.5000)
Te (0.3333, 0.6667, 0.7500)
Te (0.6667, 0.3333, 0.2500)
O (0.0450, 0.3541, 0.8773)
O (0.0450, 0.6909, 0.6227)
O (0.3091, 0.3541, 0.6227)
O (0.3091, 0.9550, 0.8773)
O (0.3541, 0.0450, 0.3773)
O (0.3541, 0.3091, 0.1227)
O (0.6459, 0.6909, 0.8773)
O (0.6459, 0.9550, 0.6227)
O (0.6909, 0.0450, 0.1227)
O (0.6909, 0.6459, 0.3773)
O (0.9550, 0.3091, 0.3773)
O (0.9550, 0.6459, 0.1227)

Output
formation energy = -2.27 eV/atom
total magnetization = 3.00 μB/f.u.
excess energy over the best structure of this formula in the dataset = 233 kJ/mol of formula units
SG = No. 163

=====

[2]
A geometry-optimized MgCr2Co2O8 structure. Source: the Materials Project database, functional PBE+U.

abc: 5.1536 5.1583 6.3573
angles: 90.01 90.00 112.91
Sites, in units of the cell vectors:
Mg (0.0000, 0.0000, 0.0000)
Cr (0.0231, 0.9749, 0.4999)
Cr (0.3218, 0.6787, 0.9991)
Co (0.6637, 0.3368, 0.2548)
Co (0.6638, 0.3373, 0.7447)
O (0.3846, 0.1225, 0.4996)
O (0.4177, 0.0625, 0.9997)
O (0.4261, 0.5745, 0.2177)
O (0.4259, 0.5754, 0.7800)
O (0.8736, 0.6124, 0.4996)
O (0.8995, 0.0993, 0.2782)
O (0.8994, 0.0992, 0.7217)
O (0.9383, 0.5829, 0.9995)

Output
formation energy = -1.70 eV/atom
total magnetization = 6.00 μB/f.u.
excess energy over the best structure of this formula in the dataset = 0 kJ/mol of formula units
SG = No. 1

=====

- Among the records above, which one has the lowest total magnetization?
  TbCrTeO6